Li9Mn2Co5O16: optimized geometry, PBE with a Hubbard U.

Properties
Formation energy, meV per atom: -1782.9
Symmetry: P1
Corrected total energy (MP2020 scheme), Ha/atom: -0.23803
DFT total energy, eV for the cell shown: -184.75
M_tot, μB/f.u.: 13.994
Distance to the lowest polymorph of the same formula, meV/atom: 81

The structure in POSCAR format:
```
Li9Mn2Co5O16
1.0
-2.965 -0.441 0.242
0.758 -4.521 -1.983
3.098 -6.417 17.915
O Li Co Mn
16 9 5 2
direct
0.967 0.946 0.806
0.533 0.806 0.941
0.966 0.692 0.058
0.006 0.194 0.558
0.032 0.555 0.693
0.994 0.475 0.306
0.466 0.195 0.060
0.491 0.307 0.440
0.993 0.810 0.443
0.531 0.054 0.693
0.480 0.584 0.197
0.007 0.026 0.195
0.510 0.693 0.558
0.467 0.446 0.806
0.033 0.304 0.941
0.522 0.915 0.304
0.509 0.623 0.371
0.504 0.122 0.872
0.993 0.134 0.371
0.501 0.250 0.251
0.498 0.376 0.625
0.999 0.875 0.625
0.004 0.623 0.872
0.002 0.367 0.132
0.490 0.879 0.132
0.001 0.250 0.749
0.000 0.750 0.251
0.001 0.500 0.499
0.501 0.750 0.749
0.503 0.000 0.499
0.498 0.500 0.001
0.998 0.000 0.001
```

Mn2Tl2O7: optimized geometry, PBE with a Hubbard U.

Properties
Formation energy, meV per atom: -1494.6
Symmetry: Fd-3m
Corrected total energy (MP2020 scheme), Ha/atom: -0.24764
DFT total energy, eV for the cell shown: -131.96

The structure in POSCAR format:
```
Mn2Tl2O7
1.0
0.000 5.046 5.046
5.046 0.000 5.046
5.046 5.046 0.000
O Tl Mn
14 4 4
direct
0.549 0.951 0.549
0.000 0.000 0.000
0.701 0.701 0.299
0.299 0.299 0.701
0.299 0.701 0.701
0.549 0.549 0.951
0.701 0.299 0.299
0.951 0.951 0.549
0.250 0.250 0.250
0.299 0.701 0.299
0.951 0.549 0.951
0.701 0.299 0.701
0.549 0.951 0.951
0.951 0.549 0.549
0.625 0.125 0.125
0.125 0.125 0.625
0.125 0.125 0.125
0.125 0.625 0.125
0.625 0.625 0.125
0.625 0.125 0.625
0.625 0.625 0.625
0.125 0.625 0.625
```

LiFeF4: optimized geometry, PBE with a Hubbard U.

Properties
Formation energy, meV per atom: -2756.2
Symmetry: P2_1/c
Corrected total energy (MP2020 scheme), Ha/atom: -0.21176
DFT total energy, eV for the cell shown: -121.88
M_tot, μB/f.u.: 5.000
Distance to the lowest polymorph of the same formula, meV/atom: 68

The structure in POSCAR format:
```
LiFeF4
1.0
-0.145 0.341 -7.772
4.524 -4.014 -0.260
-1.728 -10.325 -0.421
F Fe Li
16 4 4
direct
0.146 0.994 0.105
0.307 0.258 0.229
0.354 0.994 0.605
0.346 0.492 0.913
0.511 0.474 0.394
0.693 0.742 0.771
0.193 0.258 0.729
0.646 0.006 0.395
0.807 0.742 0.271
0.154 0.492 0.413
0.011 0.526 0.106
0.846 0.508 0.587
0.489 0.526 0.606
0.989 0.474 0.894
0.654 0.508 0.087
0.854 0.006 0.895
0.680 0.670 0.440
0.180 0.330 0.060
0.820 0.670 0.940
0.320 0.330 0.560
0.969 0.322 0.767
0.031 0.678 0.233
0.531 0.322 0.267
0.469 0.678 0.733
```

Rb2Ni2Mo3O12: optimized geometry, PBE with a Hubbard U.

Properties
Formation energy, meV per atom: -1828.3
Symmetry: P2_1/c
Corrected total energy (MP2020 scheme), Ha/atom: -0.27112
DFT total energy, eV for the cell shown: -468.96
M_tot, μB/f.u.: 1.065

The structure in POSCAR format:
```
Rb2Ni2Mo3O12
1.0
-8.935 2.901 -0.008
-2.126 -6.552 -1.715
-3.410 -10.454 17.153
O Mo Rb Ni
48 12 8 8
direct
0.799 0.776 0.273
0.608 0.822 0.129
0.005 0.832 0.780
0.299 0.224 0.227
0.251 0.630 0.957
0.201 0.224 0.727
0.319 0.831 0.802
0.343 0.447 0.356
0.756 0.843 0.006
0.819 0.169 0.698
0.181 0.831 0.302
0.843 0.553 0.144
0.889 0.998 0.114
0.657 0.553 0.644
0.954 0.640 0.934
0.249 0.630 0.457
0.693 0.019 0.352
0.892 0.822 0.629
0.749 0.370 0.043
0.392 0.178 0.871
0.807 0.019 0.852
0.947 0.189 0.964
0.454 0.360 0.566
0.157 0.447 0.856
0.553 0.189 0.464
0.447 0.811 0.536
0.244 0.157 0.994
0.505 0.168 0.720
0.995 0.168 0.220
0.111 0.002 0.886
0.744 0.843 0.506
0.751 0.370 0.543
0.701 0.776 0.773
0.307 0.981 0.648
0.681 0.169 0.198
0.193 0.981 0.148
0.611 0.998 0.614
0.389 0.002 0.386
0.256 0.157 0.494
0.546 0.640 0.434
0.053 0.811 0.036
0.792 0.440 0.402
0.208 0.560 0.598
0.708 0.440 0.902
0.292 0.560 0.098
0.046 0.360 0.066
0.108 0.178 0.371
0.495 0.832 0.280
0.343 0.590 0.537
0.157 0.590 0.037
0.220 0.199 0.902
0.167 0.050 0.225
0.333 0.050 0.725
0.843 0.410 0.963
0.720 0.801 0.598
0.780 0.801 0.098
0.667 0.950 0.275
0.657 0.410 0.463
0.280 0.199 0.402
0.833 0.950 0.775
0.479 0.517 0.764
0.021 0.517 0.264
0.539 0.810 0.908
0.461 0.190 0.092
0.521 0.483 0.236
0.039 0.190 0.592
0.961 0.810 0.408
0.979 0.483 0.736
0.360 0.731 0.364
0.640 0.269 0.636
0.425 0.075 0.558
0.140 0.731 0.864
0.075 0.075 0.058
0.860 0.269 0.136
0.925 0.925 0.942
0.575 0.925 0.442
```

Li7V4P9O32: optimized geometry, PBE with a Hubbard U.

Properties
Formation energy, meV per atom: -2688.2
Symmetry: P-42_1c
Corrected total energy (MP2020 scheme), Ha/atom: -0.28024
DFT total energy, eV for the cell shown: -735.51
M_tot, μB/f.u.: 8.000

The structure in POSCAR format:
```
Li7V4P9O32
1.0
-6.009 -7.015 -10.331
12.478 -2.919 -5.276
0.228 -5.344 3.496
O P V Li
64 18 8 14
direct
0.359 0.680 0.187
0.659 0.164 0.877
0.487 0.243 0.926
0.180 0.859 0.687
0.083 0.557 0.889
0.243 0.513 0.074
0.188 0.892 0.067
0.269 0.163 0.650
0.987 0.257 0.574
0.257 0.013 0.426
0.513 0.757 0.926
0.337 0.231 0.150
0.727 0.996 0.829
0.565 0.561 0.149
0.939 0.935 0.649
0.812 0.108 0.067
0.663 0.769 0.150
0.892 0.812 0.933
0.141 0.180 0.313
0.164 0.341 0.123
0.439 0.565 0.851
0.917 0.443 0.889
0.841 0.664 0.623
0.504 0.773 0.329
0.013 0.743 0.574
0.664 0.159 0.377
0.935 0.061 0.351
0.688 0.608 0.433
0.836 0.659 0.123
0.583 0.943 0.611
0.496 0.227 0.329
0.561 0.435 0.851
0.435 0.439 0.149
0.757 0.487 0.074
0.608 0.312 0.567
0.859 0.820 0.313
0.108 0.188 0.933
0.227 0.504 0.671
0.312 0.392 0.433
0.159 0.336 0.623
0.163 0.731 0.350
0.557 0.917 0.111
0.943 0.417 0.389
0.820 0.141 0.687
0.996 0.273 0.171
0.057 0.583 0.389
0.273 0.004 0.829
0.641 0.320 0.187
0.769 0.337 0.850
0.065 0.939 0.351
0.743 0.987 0.426
0.731 0.837 0.650
0.061 0.065 0.649
0.443 0.083 0.111
0.680 0.641 0.813
0.231 0.663 0.850
0.320 0.359 0.813
0.392 0.688 0.567
0.336 0.841 0.377
0.417 0.057 0.611
0.341 0.836 0.877
0.773 0.496 0.671
0.004 0.727 0.171
0.837 0.269 0.350
0.747 0.608 0.633
0.560 0.808 0.116
0.940 0.308 0.384
0.500 0.500 0.000
0.392 0.747 0.367
0.000 0.000 0.500
0.308 0.060 0.616
0.692 0.940 0.616
0.440 0.192 0.116
0.192 0.560 0.884
0.108 0.247 0.133
0.892 0.753 0.133
0.060 0.692 0.384
0.247 0.892 0.867
0.808 0.440 0.884
0.608 0.253 0.367
0.253 0.392 0.633
0.753 0.108 0.867
0.696 0.621 0.121
0.804 0.121 0.379
0.621 0.304 0.879
0.879 0.804 0.621
0.304 0.379 0.121
0.379 0.696 0.879
0.121 0.196 0.621
0.196 0.879 0.379
0.500 0.500 0.500
0.894 0.257 0.814
0.000 0.500 0.136
0.106 0.743 0.814
0.500 0.000 0.864
0.000 0.500 0.636
0.743 0.894 0.186
0.000 0.000 0.000
0.243 0.606 0.314
0.606 0.757 0.686
0.257 0.106 0.186
0.500 0.000 0.364
0.394 0.243 0.686
0.757 0.394 0.314
```

Li12Fe3CoP4C4O28: optimized geometry, PBE with a Hubbard U.

Properties
Formation energy, meV per atom: -2327.4
Symmetry: Pm
Corrected total energy (MP2020 scheme), Ha/atom: -0.26400
DFT total energy, eV for the cell shown: -345.92
M_tot, μB/f.u.: 15.000

The structure in POSCAR format:
```
Li12Fe3CoP4C4O28
1.0
6.483 0.000 0.000
0.000 8.497 0.000
0.000 0.912 9.989
C O Li P Co Fe
4 28 12 4 1 3
direct
0.500 0.966 0.150
0.000 0.038 0.351
0.500 0.966 0.650
0.000 0.034 0.850
0.500 0.929 0.528
0.500 0.579 0.408
0.187 0.691 0.586
0.500 0.852 0.747
0.000 0.073 0.473
0.500 0.112 0.679
0.500 0.578 0.910
0.500 0.112 0.179
0.500 0.428 0.203
0.000 0.568 0.298
0.000 0.421 0.588
0.186 0.691 0.089
0.000 0.422 0.090
0.687 0.309 0.913
0.687 0.309 0.413
0.000 0.147 0.753
0.000 0.892 0.320
0.813 0.691 0.586
0.000 0.070 0.973
0.500 0.929 0.028
0.500 0.429 0.703
0.500 0.852 0.247
0.000 0.154 0.256
0.000 0.570 0.795
0.313 0.309 0.413
0.313 0.309 0.913
0.814 0.691 0.089
0.000 0.888 0.822
0.272 0.274 0.623
0.772 0.725 0.876
0.772 0.725 0.375
0.728 0.275 0.126
0.228 0.725 0.375
0.272 0.275 0.126
0.500 0.094 0.381
0.228 0.725 0.876
0.728 0.274 0.623
0.500 0.095 0.881
0.000 0.903 0.117
0.000 0.905 0.619
0.500 0.412 0.859
0.000 0.588 0.639
0.500 0.411 0.360
0.000 0.587 0.142
0.000 0.334 0.395
0.000 0.333 0.894
0.500 0.666 0.605
0.500 0.666 0.107
```

Among the records above, which one has the lowest formation energy? LiFeF4

What did the fifth record say?
Li7V4P9O32: optimized geometry, PBE with a Hubbard U.

Properties
Formation energy, meV per atom: -2688.2
Symmetry: P-42_1c
Corrected total energy (MP2020 scheme), Ha/atom: -0.28024
DFT total energy, eV for the cell shown: -735.51
M_tot, μB/f.u.: 8.000

The structure in POSCAR format:
```
Li7V4P9O32
1.0
-6.009 -7.015 -10.331
12.478 -2.919 -5.276
0.228 -5.344 3.496
O P V Li
64 18 8 14
direct
0.359 0.680 0.187
0.659 0.164 0.877
0.487 0.243 0.926
0.180 0.859 0.687
0.083 0.557 0.889
0.243 0.513 0.074
0.188 0.892 0.067
0.269 0.163 0.650
0.987 0.257 0.574
0.257 0.013 0.426
0.513 0.757 0.926
0.337 0.231 0.150
0.727 0.996 0.829
0.565 0.561 0.149
0.939 0.935 0.649
0.812 0.108 0.067
0.663 0.769 0.150
0.892 0.812 0.933
0.141 0.180 0.313
0.164 0.341 0.123
0.439 0.565 0.851
0.917 0.443 0.889
0.841 0.664 0.623
0.504 0.773 0.329
0.013 0.743 0.574
0.664 0.159 0.377
0.935 0.061 0.351
0.688 0.608 0.433
0.836 0.659 0.123
0.583 0.943 0.611
0.496 0.227 0.329
0.561 0.435 0.851
0.435 0.439 0.149
0.757 0.487 0.074
0.608 0.312 0.567
0.859 0.820 0.313
0.108 0.188 0.933
0.227 0.504 0.671
0.312 0.392 0.433
0.159 0.336 0.623
0.163 0.731 0.350
0.557 0.917 0.111
0.943 0.417 0.389
0.820 0.141 0.687
0.996 0.273 0.171
0.057 0.583 0.389
0.273 0.004 0.829
0.641 0.320 0.187
0.769 0.337 0.850
0.065 0.939 0.351
0.743 0.987 0.426
0.731 0.837 0.650
0.061 0.065 0.649
0.443 0.083 0.111
0.680 0.641 0.813
0.231 0.663 0.850
0.320 0.359 0.813
0.392 0.688 0.567
0.336 0.841 0.377
0.417 0.057 0.611
0.341 0.836 0.877
0.773 0.496 0.671
0.004 0.727 0.171
0.837 0.269 0.350
0.747 0.608 0.633
0.560 0.808 0.116
0.940 0.308 0.384
0.500 0.500 0.000
0.392 0.747 0.367
0.000 0.000 0.500
0.308 0.060 0.616
0.692 0.940 0.616
0.440 0.192 0.116
0.192 0.560 0.884
0.108 0.247 0.133
0.892 0.753 0.133
0.060 0.692 0.384
0.247 0.892 0.867
0.808 0.440 0.884
0.608 0.253 0.367
0.253 0.392 0.633
0.753 0.108 0.867
0.696 0.621 0.121
0.804 0.121 0.379
0.621 0.304 0.879
0.879 0.804 0.621
0.304 0.379 0.121
0.379 0.696 0.879
0.121 0.196 0.621
0.196 0.879 0.379
0.500 0.500 0.500
0.894 0.257 0.814
0.000 0.500 0.136
0.106 0.743 0.814
0.500 0.000 0.864
0.000 0.500 0.636
0.743 0.894 0.186
0.000 0.000 0.000
0.243 0.606 0.314
0.606 0.757 0.686
0.257 0.106 0.186
0.500 0.000 0.364
0.394 0.243 0.686
0.757 0.394 0.314
```

The highest DFT total energy belongs to which entry? LiFeF4

Which value of DFT total energy does entry 5 give? -735.51 eV for the cell shown